# 1
Compound: Rb2TmCl5
Source: the Materials Project
Functional: PBE
Structure: relaxed

POSCAR file:
```
Rb2TmCl5
1.0
-4.249 4.311 4.227
-5.818 1.495 -7.372
-8.099 -11.887 3.981
Cl Tm Rb
20 4 8
Direct
0.250 0.288 0.096
0.750 0.980 0.204
0.494 0.665 0.119
0.000 0.000 0.000
0.500 0.000 0.000
0.250 0.020 0.796
0.006 0.165 0.381
0.250 0.788 0.404
0.750 0.712 0.904
0.500 0.500 0.500
0.994 0.335 0.881
0.006 0.665 0.119
0.494 0.165 0.381
0.750 0.480 0.296
0.506 0.335 0.881
0.506 0.835 0.619
0.750 0.212 0.596
0.994 0.835 0.619
0.250 0.520 0.704
0.000 0.500 0.500
0.750 0.821 0.065
0.250 0.679 0.565
0.250 0.179 0.935
0.750 0.321 0.435
0.750 0.024 0.788
0.250 0.664 0.917
0.750 0.524 0.712
0.750 0.836 0.417
0.250 0.976 0.212
0.750 0.336 0.083
0.250 0.164 0.583
0.250 0.476 0.288
```

Computed properties:
Calculated volume ... 32.743 Å³ per atom
VASP energy ... -131.838 eV/cell

=====

# 2
Compound: NaIn2PS2O12
Source: the Materials Project
Functional: PBE
Structure: relaxed

POSCAR file:
```
NaIn2PS2O12
1.0
8.858 0.000 0.000
-4.429 7.673 0.002
0.000 0.006 23.423
O P Na S In
72 6 6 12 12
Direct
0.339 0.855 0.579
0.021 0.214 0.198
0.350 0.475 0.364
0.469 0.358 0.135
0.316 0.837 0.254
0.306 0.450 0.468
0.522 0.677 0.255
0.188 0.183 0.087
0.639 0.111 0.135
0.499 0.154 0.922
0.484 0.168 0.246
0.116 0.639 0.365
0.030 0.808 0.698
0.865 0.358 0.919
0.692 0.135 0.032
0.861 0.511 0.421
0.516 0.855 0.079
0.786 0.980 0.696
0.872 0.519 0.138
0.976 0.193 0.302
0.890 0.358 0.635
0.980 0.783 0.802
0.309 0.472 0.755
0.801 0.826 0.914
0.168 0.989 0.911
0.650 0.511 0.921
0.142 0.643 0.081
0.861 0.306 0.531
0.193 0.214 0.698
0.017 0.194 0.912
0.446 0.306 0.031
0.995 0.183 0.587
0.687 0.539 0.529
0.529 0.890 0.362
0.177 0.194 0.412
0.847 0.320 0.246
0.492 0.358 0.419
0.501 0.643 0.581
0.655 0.154 0.422
0.305 0.863 0.971
0.355 0.497 0.077
0.142 0.684 0.469
0.803 0.783 0.302
0.830 0.022 0.090
0.192 0.022 0.590
0.155 0.677 0.755
0.472 0.111 0.635
0.558 0.863 0.471
0.853 0.539 0.029
0.542 0.684 0.969
0.142 0.497 0.577
0.822 0.989 0.411
0.361 0.890 0.862
0.025 0.826 0.414
0.443 0.135 0.532
0.647 0.519 0.638
0.217 0.193 0.802
0.194 0.980 0.196
0.976 0.809 0.086
0.778 0.808 0.198
0.523 0.639 0.865
0.688 0.528 0.246
0.163 0.472 0.255
0.216 0.027 0.305
0.521 0.837 0.754
0.841 0.528 0.746
0.125 0.475 0.864
0.811 0.027 0.805
0.473 0.320 0.746
0.833 0.809 0.586
0.143 0.450 0.968
0.684 0.168 0.746
0.704 0.003 0.750
0.333 0.971 0.917
0.299 0.003 0.250
0.958 0.624 0.083
0.638 0.971 0.417
0.667 0.624 0.583
0.355 0.674 0.667
0.658 0.312 0.833
0.008 0.986 0.000
0.318 0.674 0.167
0.654 0.312 0.333
0.978 0.986 0.500
0.040 0.372 0.916
0.038 0.665 0.418
0.627 0.665 0.918
0.969 0.336 0.583
0.295 0.298 0.750
0.364 0.033 0.584
0.002 0.298 0.250
0.701 0.701 0.250
0.367 0.336 0.083
0.669 0.033 0.084
0.001 0.701 0.750
0.332 0.372 0.416
0.665 0.331 0.483
0.343 0.682 0.817
0.664 0.331 0.184
0.986 0.991 0.649
0.339 0.682 0.317
0.998 0.000 0.850
0.002 0.000 0.350
0.322 0.674 0.017
0.667 0.331 0.684
0.351 0.674 0.517
0.666 0.331 0.983
0.004 0.991 0.149
```

Computed properties:
Calculated volume ... 14.741 Å³ per atom
VASP energy ... -663.105 eV/cell

=====

# 3
Compound: CaSb4H6S2O16
Source: the Materials Project
Functional: PBE
Structure: relaxed

POSCAR file:
```
CaSb4H6S2O16
1.0
-12.101 -0.565 -4.497
-9.026 -2.597 -8.875
-1.950 -9.611 3.093
H O S Sb Ca
12 32 4 8 2
Direct
0.049 0.850 0.122
0.041 0.197 0.282
0.089 0.800 0.276
0.197 0.041 0.782
0.200 0.911 0.224
0.150 0.951 0.378
0.911 0.200 0.724
0.803 0.959 0.218
0.800 0.089 0.776
0.951 0.150 0.878
0.850 0.049 0.622
0.959 0.803 0.718
0.076 0.036 0.292
0.264 0.054 0.771
0.446 0.077 0.112
0.378 0.480 0.619
0.622 0.520 0.381
0.355 0.369 0.471
0.314 0.591 0.385
0.520 0.622 0.881
0.036 0.076 0.792
0.924 0.964 0.708
0.645 0.631 0.529
0.369 0.355 0.971
0.964 0.924 0.208
0.301 0.820 0.546
0.554 0.920 0.615
0.180 0.699 0.954
0.920 0.554 0.115
0.409 0.686 0.115
0.820 0.301 0.046
0.446 0.080 0.385
0.077 0.446 0.612
0.480 0.378 0.119
0.591 0.314 0.885
0.686 0.409 0.615
0.054 0.264 0.271
0.946 0.736 0.729
0.923 0.554 0.388
0.080 0.446 0.885
0.631 0.645 0.029
0.736 0.946 0.229
0.699 0.180 0.454
0.554 0.923 0.888
0.564 0.594 0.517
0.594 0.564 0.017
0.406 0.436 0.983
0.436 0.406 0.483
0.254 0.380 0.730
0.746 0.620 0.270
0.788 0.794 0.485
0.206 0.212 0.015
0.794 0.788 0.985
0.620 0.746 0.770
0.212 0.206 0.515
0.380 0.254 0.230
0.682 0.318 0.250
0.318 0.682 0.750
```

Computed properties:
Calculated volume ... 12.698 Å³ per atom
VASP energy ... -335.934 eV/cell

=====

# 4
Compound: HgGe3
Source: the Materials Project
Functional: PBE
Structure: relaxed

POSCAR file:
```
HgGe3
1.0
3.125 -5.413 0.000
3.125 5.413 0.000
0.000 0.000 5.050
Ge Hg
6 2
Direct
0.322 0.161 0.750
0.678 0.839 0.250
0.839 0.678 0.750
0.161 0.322 0.250
0.161 0.839 0.250
0.839 0.161 0.750
0.667 0.333 0.250
0.333 0.667 0.750
```

Computed properties:
Calculated volume ... 21.357 Å³ per atom
VASP energy ... -25.554 eV/cell

=====

# 5
Compound: Sr4SO3
Source: the Materials Project
Functional: PBE
Structure: relaxed

POSCAR file:
```
Sr4SO3
1.0
5.486 0.000 0.000
0.000 5.486 0.000
0.000 0.000 5.486
S Sr O
1 4 3
Direct
0.500 0.500 0.500
0.500 0.000 0.500
0.000 0.000 0.000
0.000 0.500 0.500
0.500 0.500 0.000
0.500 0.000 0.000
0.000 0.000 0.500
0.000 0.500 0.000
```

Computed properties:
Calculated volume ... 20.633 Å³ per atom
VASP energy ... -44.827 eV/cell

=====

# 6
Compound: HfScIr2
Source: the Materials Project
Functional: PBE
Structure: relaxed

POSCAR file:
```
HfScIr2
1.0
-1.722 -3.154 2.889
-4.524 -0.892 0.010
-1.562 -4.017 -1.638
Ir Sc Hf
2 1 1
Direct
0.750 0.750 0.750
0.250 0.250 0.250
0.000 0.000 0.000
0.500 0.500 0.500
```

Computed properties:
Calculated volume ... 17.326 Å³ per atom
VASP energy ... -37.944 eV/cell